Compound: Li2PmGa
Source: the Materials Project
Functional: meta-GGA r2SCAN
Structure: relaxed

Summary:
Spin magnetization (μB/cell): 0.00
Total DFT energy (no corrections) (eV per atom): -11.774
Formation energy from the elements (eV/atom): -0.334

abc: 4.7298 4.7298 4.7298
angles: 60.00 60.00 60.00
Closest atoms and distances in Å follow each position.
Atoms (fractional coordinates):
Li1 0.2500 0.2500 0.2500  4 Ga 2.90, 4 Pm 2.90
Li2 0.7500 0.7500 0.7500  4 Ga 2.90, 4 Pm 2.90
Pm1 0.0000 0.0000 0.0000  8 Li 2.90
Ga1 0.5000 0.5000 0.5000  8 Li 2.90